# 1
## Tl4SnS3 (PBE)

Data for crystalline Tl4SnS3 at its relaxed geometry.

Values from the calculation:
**Size of the total moment**: 0.00 μB/atom
**Space group**: P4/ncc (130)

Unit cell a=8.1444 b=8.1444 c=14.5114 alpha=90.00 beta=90.00 gamma=90.00
Sites, in units of the cell vectors:
Tl  0.0905  0.6097  0.1092
Tl  0.0905  0.8903  0.6092
Tl  0.1097  0.5905  0.3908
Tl  0.1097  0.9095  0.8908
Tl  0.3903  0.5905  0.8908
Tl  0.3903  0.9095  0.3908
Tl  0.4095  0.6097  0.6092
Tl  0.4095  0.8903  0.1092
Tl  0.5905  0.1097  0.8908
Tl  0.5905  0.3903  0.3908
Tl  0.6097  0.0905  0.6092
Tl  0.6097  0.4095  0.1092
Tl  0.8903  0.0905  0.1092
Tl  0.8903  0.4095  0.6092
Tl  0.9095  0.1097  0.3908
Tl  0.9095  0.3903  0.8908
Sn  0.2500  0.2500  0.2400
Sn  0.2500  0.2500  0.7400
Sn  0.7500  0.7500  0.2600
Sn  0.7500  0.7500  0.7600
S  0.0797  0.5797  0.7500
S  0.0797  0.9203  0.2500
S  0.2500  0.2500  0.4147
S  0.2500  0.2500  0.9147
S  0.4203  0.5797  0.2500
S  0.4203  0.9203  0.7500
S  0.5797  0.0797  0.2500
S  0.5797  0.4203  0.7500
S  0.7500  0.7500  0.0853
S  0.7500  0.7500  0.5853
S  0.9203  0.0797  0.7500
S  0.9203  0.4203  0.2500



# 2
## Na3TlBr6 (PBE)

Data for crystalline Na3TlBr6 at its relaxed geometry.

Values from the calculation:
**Size of the total moment**: 0.00 μB/atom
**Space group**: Fm-3m (225)

Unit cell a=7.9561 b=7.9561 c=7.9561 alpha=60.00 beta=60.00 gamma=60.00
Sites, in units of the cell vectors:
Na  0.0000  0.0000  0.0000
Na  0.2500  0.2500  0.2500
Na  0.7500  0.7500  0.7500
Tl  0.5000  0.5000  0.5000
Br  0.2547  0.2547  0.7453
Br  0.2547  0.7453  0.2547
Br  0.2547  0.7453  0.7453
Br  0.7453  0.2547  0.2547
Br  0.7453  0.2547  0.7453
Br  0.7453  0.7453  0.2547



# 3
## SrNdCuS3 (PBE)

Data for crystalline SrNdCuS3 at its relaxed geometry.

Values from the calculation:
**Size of the total moment**: 0.00 μB/atom
**Space group**: Pnma (62)

Unit cell a=10.6761 b=4.0206 c=12.9941 alpha=90.00 beta=90.00 gamma=90.00
Sites, in units of the cell vectors:
Sr  0.2120  0.2500  0.0028
Sr  0.2880  0.7500  0.5028
Sr  0.7120  0.2500  0.4972
Sr  0.7880  0.7500  0.9972
Nd  0.0171  0.7500  0.2673
Nd  0.4829  0.2500  0.7673
Nd  0.5171  0.7500  0.2327
Nd  0.9829  0.2500  0.7327
Cu  0.2329  0.7500  0.7780
Cu  0.2671  0.2500  0.2780
Cu  0.7329  0.7500  0.7220
Cu  0.7671  0.2500  0.2220
S  0.0518  0.7500  0.8800
S  0.1058  0.2500  0.3990
S  0.2410  0.2500  0.6741
S  0.2590  0.7500  0.1741
S  0.3942  0.7500  0.8990
S  0.4482  0.2500  0.3800
S  0.5518  0.7500  0.6200
S  0.6058  0.2500  0.1010
S  0.7410  0.2500  0.8259
S  0.7590  0.7500  0.3259
S  0.8942  0.7500  0.6010
S  0.9482  0.2500  0.1200



# 4
## Ag7PS6 (PBE)

Data for crystalline Ag7PS6 at its relaxed geometry.

Values from the calculation:
**Size of the total moment**: 0.00 μB/atom
**Space group**: P2_13 (198)

Unit cell a=10.5310 b=10.5310 c=10.5310 alpha=90.00 beta=90.00 gamma=90.00
Sites, in units of the cell vectors:
Ag  0.0077  0.2273  0.5159
Ag  0.0159  0.4923  0.7727
Ag  0.0734  0.5975  0.2334
Ag  0.0975  0.2666  0.9266
Ag  0.1480  0.8520  0.3520
Ag  0.2273  0.5159  0.0077
Ag  0.2334  0.0734  0.5975
Ag  0.2666  0.9266  0.0975
Ag  0.2727  0.4841  0.5077
Ag  0.3520  0.1480  0.8520
Ag  0.4025  0.7334  0.4266
Ag  0.4266  0.4025  0.7334
Ag  0.4841  0.5077  0.2727
Ag  0.4923  0.7727  0.0159
Ag  0.5077  0.2727  0.4841
Ag  0.5159  0.0077  0.2273
Ag  0.5734  0.9025  0.7666
Ag  0.5975  0.2334  0.0734
Ag  0.6480  0.6480  0.6480
Ag  0.7273  0.9841  0.9923
Ag  0.7334  0.4266  0.4025
Ag  0.7666  0.5734  0.9025
Ag  0.7727  0.0159  0.4923
Ag  0.8520  0.3520  0.1480
Ag  0.9025  0.7666  0.5734
Ag  0.9266  0.0975  0.2666
Ag  0.9841  0.9923  0.7273
Ag  0.9923  0.7273  0.9841
P  0.2486  0.2486  0.2486
P  0.2514  0.7514  0.7486
P  0.7486  0.2514  0.7514
P  0.7514  0.7486  0.2514
S  0.0147  0.9853  0.4853
S  0.1317  0.3669  0.3546
S  0.1331  0.6454  0.6317
S  0.1346  0.1346  0.1346
S  0.1454  0.8683  0.8669
S  0.2192  0.2808  0.7192
S  0.2808  0.7192  0.2192
S  0.3546  0.1317  0.3669
S  0.3654  0.8654  0.6346
S  0.3669  0.3546  0.1317
S  0.3683  0.6331  0.8546
S  0.4853  0.0147  0.9853
S  0.5147  0.5147  0.5147
S  0.6317  0.1331  0.6454
S  0.6331  0.8546  0.3683
S  0.6346  0.3654  0.8654
S  0.6454  0.6317  0.1331
S  0.7192  0.2192  0.2808
S  0.7808  0.7808  0.7808
S  0.8546  0.3683  0.6331
S  0.8654  0.6346  0.3654
S  0.8669  0.1454  0.8683
S  0.8683  0.8669  0.1454
S  0.9853  0.4853  0.0147



# 5
## Li3SbN2 (PBE)

Data for crystalline Li3SbN2 at its relaxed geometry.

Values from the calculation:
**Size of the total moment**: 0.00 μB/atom
**Space group**: I4_1/amd (141)

Unit cell a=10.2941 b=10.2941 c=10.2941 alpha=140.34 beta=140.34 gamma=57.34
Sites, in units of the cell vectors:
Li  0.1523  0.4023  0.3045
Li  0.1523  0.8477  0.7500
Li  0.2800  0.5300  0.7500
Li  0.4023  0.1523  0.8045
Li  0.4023  0.5977  0.2500
Li  0.4700  0.7200  0.7500
Li  0.5300  0.2800  0.2500
Li  0.5977  0.4023  0.7500
Li  0.5977  0.8477  0.1955
Li  0.7200  0.4700  0.2500
Li  0.8477  0.1523  0.2500
Li  0.8477  0.5977  0.6955
Sb  0.0018  0.2518  0.7500
Sb  0.2518  0.0018  0.2500
Sb  0.7482  0.9982  0.7500
Sb  0.9982  0.7482  0.2500
N  0.1699  0.6870  0.4829
N  0.2959  0.3130  0.9829
N  0.3130  0.2959  0.4829
N  0.3130  0.8301  0.0171
N  0.6870  0.1699  0.9829
N  0.6870  0.7041  0.5171
N  0.7041  0.6870  0.0171
N  0.8301  0.3130  0.5171



# 6
## Ho3AlN (PBE)

Data for crystalline Ho3AlN at its relaxed geometry.

Values from the calculation:
**Space group**: Pm-3m (221)

Unit cell a=4.7442 b=4.7442 c=4.7442 alpha=90.00 beta=90.00 gamma=90.00
Sites, in units of the cell vectors:
Ho  0.0000  0.0000  0.5000
Ho  0.0000  0.5000  0.0000
Ho  0.5000  0.0000  0.0000
Al  0.5000  0.5000  0.5000
N  0.0000  0.0000  0.0000



# 7
## Hf2SiAs3 (PBE)

Data for crystalline Hf2SiAs3 at its relaxed geometry.

Values from the calculation:
**Space group**: P-4m2 (115)

Unit cell a=3.6600 b=3.6600 c=8.2076 alpha=90.00 beta=90.00 gamma=90.00
Sites, in units of the cell vectors:
Hf  0.0000  0.5000  0.2361
Hf  0.5000  0.0000  0.7639
Si  0.0000  0.0000  0.5000
As  0.0000  0.5000  0.8856
As  0.5000  0.0000  0.1144
As  0.5000  0.5000  0.5000



# 8
## Mg14VCo (PBE)

Data for crystalline Mg14VCo at its relaxed geometry.

Values from the calculation:
**Size of the total moment**: 0.08 μB/atom
**Space group**: P-6m2 (187)

Unit cell a=6.2190 b=6.2190 c=9.8446 alpha=90.00 beta=90.00 gamma=120.00
Sites, in units of the cell vectors:
Mg  0.0000  0.0000  0.2467
Mg  0.0000  0.0000  0.7533
Mg  0.0188  0.5094  0.2534
Mg  0.0188  0.5094  0.7466
Mg  0.3325  0.1663  0.5000
Mg  0.3373  0.1687  0.0000
Mg  0.4906  0.5094  0.2534
Mg  0.4906  0.5094  0.7466
Mg  0.4906  0.9812  0.2534
Mg  0.4906  0.9812  0.7466
Mg  0.8313  0.1687  0.0000
Mg  0.8313  0.6627  0.0000
Mg  0.8337  0.1663  0.5000
Mg  0.8337  0.6675  0.5000
V  0.3333  0.6667  0.0000
Co  0.3333  0.6667  0.5000



no.,DFT formation energy (meV/atom)
1,-525.3
2,-1290.4
3,-1910.3
4,-340.4
5,-198.8
6,-1003.7
7,-728.8
8,174.2